A geometry-optimized Sr2GdTaCu2O8 structure, computed with PBE.

Values from the calculation:
ΔE_f	-2772	meV/atom
E_tot	-110.40	eV for the cell shown
corrected total energy (MP2020 scheme)	-8.28	eV per atom
total magnetic moment	7.0	Bohr magnetons per cell

a b c (Å): 3.9351 3.9351 11.7393
angles (deg): 90.00 90.00 90.00
With the nearest neighbours (Å) after each atom.
Space group P4/mmm (No. 123)
Unique sites:
Sr  0.0000  0.0000  0.2011 (multiplicity 2)  12 O 2.81-3.07
Gd  0.0000  0.0000  0.5000 (multiplicity 1)  8 O 2.46
Ta  0.5000  0.5000  0.0000 (multiplicity 1)  6 O 1.97-1.98
Cu  0.5000  0.5000  0.3606 (multiplicity 2)  4 O 1.97
O  0.0000  0.5000  0.0000 (multiplicity 2)  2 Ta 1.97
O  0.0000  0.5000  0.3736 (multiplicity 4)  2 Cu 1.97
O  0.5000  0.5000  0.1689 (multiplicity 2)  1 Ta 1.98